LiCrP4O12 | GGA+U | relaxed

Calculated values
DFT formation energy   -45.83 eV/f.u.
Energy relative to the lowest polymorph listed for this composition   95.9 meV per atom
E   -7.12 eV/atom

Unit cell a=7.3456 b=12.9977 c=11.4679 alpha=90.00 beta=127.16 gamma=90.00
With the nearest neighbours (Å) after each atom.
Space group P2_1/c (No. 14)
Asymmetric unit:
Li 0.0679 0.2266 0.0525 [4 per cell]  3 O 1.95-1.98
Cr 0.4767 0.2021 0.9367 [4 per cell]  5 O 1.97-2.08
P 0.0714 0.1005 0.7738 [4 per cell]  4 O 1.52-1.60
P 0.1681 0.6140 0.2411 [4 per cell]  4 O 1.48-1.63
P 0.4190 0.6302 0.8054 [4 per cell]  4 O 1.50-1.60
P 0.4689 0.0887 0.2970 [4 per cell]  4 O 1.48-1.63
O 0.0204 0.5079 0.1941 [4 per cell]  2 P 1.60-1.63
O 0.0396 0.6857 0.1155 [4 per cell]  1 P 1.48
O 0.1342 0.1856 0.7129 [4 per cell]  1 P 1.52
O 0.1618 0.6216 0.7528 [4 per cell]  2 P 1.57-1.60
O 0.2233 0.1047 0.1789 [4 per cell]  1 P 1.48
O 0.2344 0.6482 0.3886 [4 per cell]  1 P 1.52
O 0.2720 0.0943 0.9353 [4 per cell]  1 P 1.52
O 0.3965 0.5718 0.2706 [4 per cell]  2 P 1.60
O 0.4022 0.6666 0.0795 [4 per cell]  1 P 1.52
O 0.4089 0.6378 0.6710 [4 per cell]  1 P 1.50
O 0.4520 0.2135 0.5810 [4 per cell]  1 P 1.51
O 0.4768 0.0209 0.6185 [4 per cell]  2 P 1.60-1.63